No. 1
A plane-wave DFT calculation with PBE was carried out for an optimized crystal structure of LuH24C4N4Cl7.

The total energy comes out at -4.83 eV per atom. As for the formation energy from the elements: -0.709 eV/atom.

abc: 9.924 7.727 13.220
angles: 90.00 90.87 90.00
Space group P2 (No. 3)
Asymmetric unit:
Lu1 0.000 0.000 0.000 x1
Lu2 0.500 0.010 0.500 x1
H1 0.003 0.128 0.387 x2
H2 0.009 0.840 0.310 x2
H3 0.073 0.829 0.582 x2
H4 0.075 0.117 0.735 x2
H5 0.116 0.564 0.948 x2
H6 0.151 0.445 0.777 x2
H7 0.159 0.833 0.690 x2
H8 0.162 0.514 0.300 x2
H9 0.179 0.118 0.626 x2
H10 0.193 0.374 0.953 x2
H11 0.231 0.652 0.800 x2
H12 0.249 0.616 0.463 x2
H13 0.251 0.403 0.461 x2
H14 0.284 0.556 0.969 x2
H15 0.313 0.860 0.173 x2
H16 0.315 0.636 0.290 x2
H17 0.319 0.405 0.283 x2
H18 0.329 0.459 0.804 x2
H19 0.342 0.131 0.091 x2
H20 0.394 0.508 0.446 x2
H21 0.401 0.140 0.220 x2
H22 0.439 0.821 0.094 x2
H23 0.473 0.858 0.217 x2
H24 0.479 0.121 0.879 x2
C1 0.082 0.077 0.657 x2
C2 0.230 0.514 0.819 x2
C3 0.270 0.516 0.317 x2
C4 0.419 0.087 0.145 x2
N1 0.076 0.884 0.654 x2
N2 0.204 0.500 0.929 x2
N3 0.293 0.511 0.429 x2
N4 0.411 0.896 0.157 x2
Cl1 0.000 0.588 0.500 x1
Cl2 0.083 0.751 0.125 x2
Cl3 0.088 0.240 0.117 x2
Cl4 0.228 0.995 0.908 x2
Cl5 0.270 0.979 0.405 x2
Cl6 0.413 0.772 0.628 x2
Cl7 0.417 0.256 0.615 x2
Cl8 0.500 0.613 0.000 x1

No. 2
A plane-wave DFT calculation with PBE was carried out for an optimized crystal structure of Mg2P2H28CCl2O20.

The total energy comes out at -5.25 eV per atom. As for the formation energy from the elements: -1.485 eV/atom.

abc: 7.879 20.715 12.799
angles: 90.00 97.55 90.00
Space group P2_1/m (No. 11)
Asymmetric unit:
Mg1 0.067 0.250 0.461 x2
Mg2 0.300 0.045 0.290 x4
Mg3 0.426 0.750 0.555 x2
P1 0.203 0.674 0.717 x4
P2 0.366 0.174 0.611 x4
H1 0.010 0.570 0.816 x4
H2 0.029 0.149 0.637 x4
H3 0.050 0.185 0.931 x4
H4 0.055 0.658 0.256 x4
H5 0.061 0.105 0.390 x4
H6 0.068 0.032 0.912 x4
H7 0.109 0.049 0.097 x4
H8 0.119 0.506 0.613 x4
H9 0.129 0.651 0.080 x4
H10 0.150 0.047 0.463 x4
H11 0.157 0.712 0.410 x4
H12 0.216 0.582 0.320 x4
H13 0.224 0.556 0.998 x4
H14 0.249 0.615 0.926 x4
H15 0.261 0.052 0.944 x4
H16 0.263 0.050 0.630 x4
H17 0.274 0.211 0.323 x4
H18 0.303 0.154 0.176 x4
H19 0.306 0.142 0.987 x4
H20 0.362 0.204 0.044 x4
H21 0.400 0.538 0.577 x4
H22 0.405 0.562 0.806 x4
H23 0.408 0.111 0.824 x4
H24 0.417 0.577 0.314 x4
H25 0.452 0.157 0.276 x4
H26 0.460 0.601 0.067 x4
H27 0.480 0.006 0.844 x4
H28 0.494 0.602 0.544 x4
C1 0.192 0.750 0.796 x2
C2 0.405 0.250 0.690 x2
Cl1 0.006 0.750 0.860 x2
Cl2 0.253 0.250 0.784 x2
Cl3 0.373 0.750 0.902 x2
Cl4 0.384 0.750 0.239 x2
O1 0.041 0.676 0.637 x4
O2 0.042 0.668 0.121 x4
O3 0.081 0.647 0.332 x4
O4 0.087 0.042 0.170 x4
O5 0.106 0.059 0.389 x4
O6 0.162 0.030 0.970 x4
O7 0.170 0.750 0.459 x2
O8 0.179 0.178 0.559 x4
O9 0.209 0.616 0.792 x4
O10 0.217 0.013 0.585 x4
O11 0.262 0.601 0.002 x4
O12 0.268 0.173 0.037 x4
O13 0.285 0.250 0.371 x2
O14 0.308 0.552 0.303 x4
O15 0.327 0.146 0.253 x4
O16 0.368 0.682 0.667 x4
O17 0.392 0.116 0.687 x4
O18 0.419 0.095 0.898 x4
O19 0.488 0.037 0.179 x4
O20 0.488 0.061 0.417 x4
O21 0.497 0.175 0.532 x4

No. 3
A plane-wave DFT calculation with PBE was carried out for an optimized crystal structure of Mn2H30C9N3Cl7.

The total energy comes out at -5.11 eV per atom. As for the formation energy from the elements: -0.462 eV/atom.

abc: 14.6522 14.6522 6.4376
angles: 90.00 90.00 120.00
Space group P6_3mc (No. 186)
Asymmetric unit:
Mn1 0.0000 0.0000 0.0000 x2
Mn2 0.3333 0.6667 0.1404 x2
H1 0.0649 0.4173 0.6466 x12
H2 0.0766 0.3210 0.4907 x12
H3 0.1239 0.3696 0.9530 x12
H4 0.1342 0.2684 0.8130 x6
H5 0.1442 0.4581 0.4165 x12
H6 0.2489 0.4979 0.7193 x6
C1 0.1168 0.4026 0.5468 x12
C2 0.1756 0.3511 0.8618 x6
N1 0.2098 0.4195 0.6727 x6
Cl1 0.0784 0.1569 0.2511 x6
Cl2 0.1570 0.5785 0.0275 x6
Cl3 0.3333 0.6667 0.5125 x2